Record 1
Computed, not measured: SiPdO3 after structural relaxation at the PBE-GGA level of DFT.

The value obtained for the energy with MP2020 corrections is -6.65 eV/atom. Its theoretical density is 6.505 g/cm3. The calculation puts the formation energy at -7.82 eV per formula unit. The total magnetization comes out at 1.99 μB/f.u.

It has space group Pm-3m (No. 221), with a = 3.598 Å, b = 3.598 Å, c = 3.598 Å, α = 90.00°, β = 90.00° and γ = 90.00°. The asymmetric unit holds Si at (0.000, 0.000, 0.000), Pd at (0.500, 0.500, 0.500) and O at (0.000, 0.000, 0.500).

Record 2
Computed, not measured: UNiSb2 after structural relaxation at the PBE-GGA level of DFT.

The value obtained for the energy with MP2020 corrections is -6.77 eV/atom. Its theoretical density is 10.427 g/cm3. The calculation puts the formation energy at -1.75 eV per formula unit.

It has space group P4/nmm (No. 129, origin choice 2), with a = 4.347 Å, b = 4.347 Å, c = 9.107 Å, α = 90.00°, β = 90.00° and γ = 90.00°. The asymmetric unit holds U at (0.250, 0.250, 0.231), Ni at (0.250, 0.750, 0.000), Sb at (0.250, 0.250, 0.841) and Sb at (0.250, 0.750, 0.500).

Record 3
Computed, not measured: LuCoB4 after structural relaxation at the PBE-GGA level of DFT.

Its theoretical density is 8.405 g/cm3. The calculation puts the formation energy at -3.81 eV per formula unit.

It has space group Pbam (No. 55), with a = 5.836 Å, b = 11.292 Å, c = 3.324 Å, α = 90.00°, β = 90.00° and γ = 90.00°. The asymmetric unit holds Lu at (0.128, 0.150, 0.000), Co at (0.136, 0.410, 0.000), B at (0.024, 0.692, 0.500), B at (0.112, 0.547, 0.500), B at (0.137, 0.968, 0.500) and B at (0.216, 0.815, 0.500).